Here is Ba2NaNb5O15 after structural relaxation from the Materials Project database. Energies are from GGA-PBE.

Lattice parameters (Å, degrees): 8.1982 17.8905 18.2947 90.00 102.95 90.00
Fractional coordinates of all 184 atoms:
Na 0.7470 0.5000 0.0000
O 0.3181 0.6054 0.5357
O 0.9207 0.8251 0.8322
Nb 0.1712 0.0677 0.3569
O 0.0885 0.1749 0.1678
O 0.3419 0.6756 0.6670
Na 0.2411 0.0000 0.0000
Nb 0.3664 0.2500 0.7489
O 0.5436 0.1416 0.5496
Nb 0.1138 0.7500 0.2484
O 0.1337 0.8312 0.1758
O 0.3824 0.3305 0.6745
Nb 0.8143 0.9323 0.6431
Ba 0.6247 0.0764 0.7560
Nb 0.5629 0.4312 0.1403
Na 0.9973 0.0009 0.4996
Ba 0.0389 0.7500 0.5763
Nb 0.3164 0.5672 0.6409
O 0.7388 0.7500 0.4675
Nb 0.6755 0.0672 0.3591
O 0.5832 0.8325 0.1760
Na 0.9973 0.4991 0.4996
O 0.0217 0.7500 0.0342
Nb 0.4608 0.3584 0.9338
Na 0.4976 0.5009 0.5004
O 0.6748 0.3244 0.3330
Nb 0.6755 0.4328 0.3591
Nb 0.2100 0.8585 0.4343
Ba 0.9584 0.2500 0.4198
O 0.5950 0.5671 0.6529
Ba 0.3802 0.9181 0.2613
O 0.3824 0.1695 0.6745
Nb 0.9601 0.1411 0.9304
O 0.5353 0.8938 0.9646
O 0.1337 0.6688 0.1758
O 0.7823 0.1054 0.4643
O 0.2953 0.8556 0.0488
O 0.4516 0.8251 0.8302
O 0.9420 0.0671 0.3471
O 0.9727 0.8956 0.9654
Nb 0.0297 0.6411 0.0696
O 0.9940 0.8584 0.4504
Ba 0.8687 0.9236 0.2440
O 0.5353 0.6062 0.9646
Ba 0.7914 0.2500 0.0784
Ba 0.1189 0.0819 0.7387
O 0.8317 0.3313 0.6747
O 0.7602 0.6043 0.5355
Ba 0.6247 0.4236 0.7560
O 0.1570 0.6687 0.3253
O 0.9874 0.2500 0.9658
Ba 0.2081 0.7500 0.9220
O 0.7330 0.9639 0.3936
O 0.9086 0.5334 0.7505
O 0.5950 0.9329 0.6529
O 0.4484 0.0355 0.8946
O 0.9579 0.3312 0.8242
O 0.5707 0.3938 0.0354
O 0.2464 0.3556 0.9512
O 0.6219 0.4653 0.2495
O 0.5538 0.9645 0.1054
O 0.9420 0.4329 0.3471
O 0.1470 0.7500 0.7596
O 0.3725 0.5347 0.7505
O 0.7602 0.8957 0.5355
O 0.3394 0.0361 0.6064
O 0.6219 0.0347 0.2495
O 0.4012 0.7500 0.2656
O 0.4790 0.8621 0.4197
Nb 0.4226 0.5688 0.8597
O 0.4790 0.6379 0.4197
O 0.4558 0.4379 0.3705
O 0.3874 0.2500 0.2404
O 0.4073 0.3325 0.8240
O 0.2074 0.5362 0.3942
O 0.8132 0.0362 0.6058
O 0.4073 0.1675 0.8240
Nb 0.0652 0.4343 0.1416
Nb 0.3164 0.9328 0.6409
O 0.0594 0.1379 0.5803
Nb 0.8143 0.5677 0.6431
O 0.6214 0.3251 0.1698
O 0.8317 0.1687 0.6747
O 0.3725 0.9653 0.7505
Nb 0.4226 0.9312 0.8597
Ba 0.5386 0.7500 0.5802
Ba 0.3802 0.5819 0.2613
O 0.8436 0.0520 0.1471
O 0.9207 0.6749 0.8322
O 0.6502 0.2500 0.7661
O 0.9940 0.6416 0.4504
Nb 0.4608 0.1416 0.9338
O 0.0985 0.9645 0.1049
O 0.2074 0.9638 0.3942
O 0.9937 0.0355 0.8951
O 0.5493 0.7500 0.0364
Nb 0.9601 0.3589 0.9304
Na 0.2411 0.5000 0.0000
O 0.0594 0.3621 0.5803
O 0.6214 0.1749 0.1698
O 0.6380 0.7500 0.7400
O 0.0853 0.9379 0.6295
O 0.9937 0.4645 0.8951
Na 0.7470 0.0000 0.0000
Nb 0.5629 0.0688 0.1403
O 0.3394 0.4639 0.6064
O 0.1998 0.1749 0.3317
O 0.5707 0.1062 0.0354
Nb 0.6175 0.7500 0.2511
O 0.7893 0.2500 0.5332
O 0.8436 0.4480 0.1471
O 0.2464 0.1444 0.9512
O 0.1580 0.0334 0.2495
O 0.4558 0.0621 0.3705
Nb 0.1712 0.4323 0.3569
O 0.5436 0.3584 0.5496
Nb 0.0652 0.0657 0.1416
O 0.4484 0.4645 0.8946
O 0.3419 0.8244 0.6670
Ba 0.8687 0.5764 0.2440
Nb 0.9236 0.9343 0.8584
O 0.2953 0.6444 0.0488
O 0.0853 0.5621 0.6295
O 0.3344 0.4203 0.1296
O 0.7079 0.8305 0.3255
Nb 0.0297 0.8589 0.0696
O 0.2561 0.7500 0.4668
O 0.8132 0.4638 0.6058
Nb 0.7757 0.3585 0.5657
Nb 0.5270 0.8584 0.0662
O 0.8980 0.2500 0.2600
Nb 0.7099 0.8583 0.4314
Na 0.4976 0.9991 0.5004
O 0.0074 0.1044 0.0346
O 0.8123 0.6348 0.0827
O 0.6748 0.1756 0.3330
O 0.2048 0.5797 0.8704
O 0.5832 0.6675 0.1760
O 0.0074 0.3956 0.0346
O 0.2713 0.2500 0.5325
Nb 0.6172 0.2500 0.2494
O 0.0885 0.3251 0.1678
Nb 0.1180 0.2500 0.2505
O 0.7330 0.5361 0.3936
O 0.9086 0.9666 0.7505
O 0.0985 0.5355 0.1049
O 0.5538 0.5355 0.1054
O 0.4516 0.6749 0.8302
Nb 0.3679 0.7500 0.7506
Nb 0.8675 0.7500 0.7495
Nb 0.8653 0.2500 0.7516
O 0.8681 0.6749 0.6683
O 0.6965 0.5520 0.8529
O 0.9727 0.6044 0.9654
O 0.2048 0.9203 0.8704
Nb 0.5270 0.6416 0.0662
O 0.1356 0.2500 0.7344
O 0.2247 0.3957 0.4645
Ba 0.2861 0.2500 0.0780
O 0.1998 0.3251 0.3317
Nb 0.7757 0.1415 0.5657
Nb 0.7099 0.6417 0.4314
Nb 0.2785 0.1417 0.5686
O 0.1570 0.8313 0.3253
O 0.7823 0.3946 0.4643
O 0.3344 0.0797 0.1296
O 0.8681 0.8251 0.6683
Nb 0.9236 0.5657 0.8584
O 0.1580 0.4666 0.2495
O 0.7079 0.6695 0.3255
O 0.7296 0.1348 0.9173
O 0.8123 0.8652 0.0827
Ba 0.4626 0.2500 0.4237
O 0.8841 0.7500 0.2339
Ba 0.1189 0.4181 0.7387
O 0.9579 0.1688 0.8242
O 0.2247 0.1043 0.4645
Nb 0.2785 0.3583 0.5686
O 0.7296 0.3652 0.9173
Ba 0.7131 0.7500 0.9216
O 0.6965 0.9480 0.8529
Nb 0.2100 0.6415 0.4343
O 0.3181 0.8946 0.5357
O 0.5130 0.2500 0.9636

Results
Energy above the lowest structure with this stoichiometry (meV/atom): 0
Energy with MP2020 corrections (eV for the cell shown): -1613.8
Formation energy (meV per atom): -3123
Magnetic moment (μB per atom): 0.00

=====

Here is CaEr4Zr4O14 after structural relaxation from the Materials Project database. Energies are from GGA-PBE.

Lattice parameters (Å, degrees): 3.6891 15.0843 13.0393 30.18 55.65 60.81
Fractional coordinates of all 23 atoms:
Er 0.0177 0.2959 0.9448
O 0.7523 0.7274 0.3958
O 0.7523 0.2726 0.8506
Ca 0.5146 0.0000 0.2418
Zr 0.9818 0.5000 0.0090
O 0.7372 0.2707 0.3607
Zr 0.0668 0.0000 0.9685
Zr 0.0030 0.2633 0.4853
O 0.2279 0.0000 0.6360
O 0.7580 0.0000 0.8716
Er 0.0169 0.5000 0.4916
O 0.7204 0.5000 0.8896
O 0.7663 0.5000 0.3669
O 0.2566 0.0000 0.1203
O 0.2352 0.2172 0.1650
O 0.7372 0.7293 0.9021
O 0.2449 0.5000 0.1277
O 0.2679 0.7633 0.1032
O 0.2679 0.2367 0.6298
Er 0.0177 0.7041 0.5367
Er 0.9371 0.0000 0.5312
Zr 0.0030 0.7367 0.0120
O 0.2352 0.7828 0.5995

Results
Energy above the lowest structure with this stoichiometry (meV/atom): 31
Energy with MP2020 corrections (eV for the cell shown): -204.4
Formation energy (meV per atom): -3506
Magnetic moment (μB per atom): 0.00

=====

Here is Nb5Si3 after structural relaxation from the Materials Project database. Energies are from GGA-PBE.

Lattice parameters (Å, degrees): 7.5903 7.5903 7.5903 128.33 128.33 76.09
Fractional coordinates of all 16 atoms:
Nb 0.3153 0.4829 0.5000
Nb 0.8153 0.3153 0.8325
Nb 0.5171 0.0171 0.8325
Nb 0.0171 0.1847 0.5000
Nb 0.9829 0.8153 0.5000
Si 0.8709 0.3709 0.2418
Nb 0.1847 0.6847 0.1675
Nb 0.5000 0.5000 0.0000
Si 0.7500 0.7500 0.0000
Nb 0.4829 0.9829 0.1675
Nb 0.0000 0.0000 0.0000
Nb 0.6847 0.5171 0.5000
Si 0.6291 0.8709 0.5000
Si 0.3709 0.1291 0.5000
Si 0.2500 0.2500 0.0000
Si 0.1291 0.6291 0.7582

Results
Energy above the lowest structure with this stoichiometry (meV/atom): 0
Energy with MP2020 corrections (eV for the cell shown): -144.0
Formation energy (meV per atom): -653